P) A relaxed V2Si2O7 crystal. Source: the Materials Project database, functional PBE with a Hubbard U.

a = 6.5353 Å, b = 6.5353 Å, c = 6.5353 Å
α = 60.00°, β = 60.00°, γ = 60.00°
Positions (direct):
V (0.0000, 0.0000, 0.0000)
V (0.0000, 0.0000, 0.5000)
V (0.0000, 0.5000, 0.0000)
V (0.5000, 0.0000, 0.0000)
Si (0.0000, 0.5000, 0.5000)
Si (0.5000, 0.0000, 0.5000)
Si (0.5000, 0.5000, 0.0000)
Si (0.5000, 0.5000, 0.5000)
O (0.1250, 0.1250, 0.1250)
O (0.1730, 0.1730, 0.5770)
O (0.1730, 0.5770, 0.1730)
O (0.1730, 0.5770, 0.5770)
O (0.4230, 0.4230, 0.8270)
O (0.4230, 0.8270, 0.4230)
O (0.4230, 0.8270, 0.8270)
O (0.5770, 0.1730, 0.1730)
O (0.5770, 0.1730, 0.5770)
O (0.5770, 0.5770, 0.1730)
O (0.8270, 0.4230, 0.4230)
O (0.8270, 0.4230, 0.8270)
O (0.8270, 0.8270, 0.4230)
O (0.8750, 0.8750, 0.8750)

Summary:
- Space-group type: Fd-3m
- Size of the total moment: 4.0 μB per formula unit
- Volume: 8.97 Å³/atom
- Mass density: 4.5 g/cm3



Q) A relaxed V2Si2O7 crystal. Source: the Materials Project database, functional PBE with a Hubbard U.

a = 6.6194 Å, b = 6.6194 Å, c = 6.3530 Å
α = 109.59°, β = 109.59°, γ = 79.02°
Positions (direct):
V (0.0619, 0.9381, 0.7500)
V (0.4336, 0.5664, 0.7500)
V (0.5664, 0.4336, 0.2500)
V (0.9381, 0.0619, 0.2500)
Si (0.0500, 0.5448, 0.2767)
Si (0.4552, 0.9500, 0.2233)
Si (0.5448, 0.0500, 0.7767)
Si (0.9500, 0.4552, 0.7233)
O (0.0000, 0.5000, 0.0000)
O (0.0096, 0.1951, 0.6144)
O (0.1107, 0.6143, 0.7158)
O (0.1951, 0.0096, 0.1144)
O (0.3079, 0.4752, 0.3836)
O (0.3857, 0.8893, 0.7842)
O (0.4752, 0.3079, 0.8836)
O (0.5000, 0.0000, 0.5000)
O (0.5248, 0.6921, 0.1164)
O (0.6143, 0.1107, 0.2158)
O (0.6921, 0.5248, 0.6164)
O (0.8049, 0.9904, 0.8856)
O (0.8893, 0.3857, 0.2842)
O (0.9904, 0.8049, 0.3856)

Summary:
- Space-group type: C2/c
- Size of the total moment: 0.0 μB per formula unit
- Volume: 11.19 Å³/atom
- Mass density: 3.6 g/cm3



Of the structures shown above, P) is the least stable.